Entry 1:
CaC4O4 after structural relaxation. Source: the Materials Project database, functional PBE-GGA.

Cell and atoms, written as CIF:
```
data_CaC4O4
_chemical_formula_sum 'Ca2 C8 O8'
_cell_length_a 6.982
_cell_length_b 7.136
_cell_length_c 6.982
_cell_angle_alpha 119.29
_cell_angle_beta 90.00
_cell_angle_gamma 119.29
_space_group_name_H-M_alt 'P 1'
_space_group_IT_number 1
_space_group_name_Hall 'P 1'
loop_
_atom_site_label
_atom_site_fract_x
_atom_site_fract_y
_atom_site_fract_z
O1 0.418 0.516 0.258
O2 0.742 0.484 0.902
O3 0.508 0.016 0.168
O4 0.508 0.016 0.848
O5 0.152 0.984 0.492
O6 0.098 0.516 0.258
O7 0.832 0.984 0.492
O8 0.742 0.484 0.582
C1 0.051 0.102 0.551
C2 0.059 0.118 0.059
C3 0.199 0.398 0.199
C4 0.941 0.882 0.941
C5 0.309 0.618 0.809
C6 0.191 0.382 0.691
C7 0.801 0.602 0.801
C8 0.449 0.898 0.949
Ca1 0.500 0.000 0.500
Ca2 0.750 0.500 0.250
```

Crystal system: tetragonal
Energy with MP2020 corrections, eV per formula unit: -71.9
Energy, eV/atom: -7.679


Entry 2:
BaSrSmSeO6 after structural relaxation. Source: the Materials Project database, functional PBE-GGA.

Cell and atoms, written as CIF:
```
data_BaSrSmSeO6
_chemical_formula_sum 'Ba4 Sr4 Sm4 Se4 O24'
_cell_length_a 8.431
_cell_length_b 8.424
_cell_length_c 8.414
_cell_angle_alpha 90.00
_cell_angle_beta 90.00
_cell_angle_gamma 90.00
_space_group_name_H-M_alt 'P 1'
_space_group_IT_number 1
_space_group_name_Hall 'P 1'
loop_
_atom_site_label
_atom_site_fract_x
_atom_site_fract_y
_atom_site_fract_z
O1 0.728 0.019 0.223
O2 0.779 0.277 0.018
O3 0.738 0.228 0.480
O4 0.221 0.723 0.018
O5 0.020 0.779 0.275
O6 0.272 0.019 0.777
O7 0.483 0.269 0.766
O8 0.517 0.731 0.766
O9 0.262 0.772 0.480
O10 0.517 0.269 0.234
O11 0.483 0.731 0.234
O12 0.728 0.981 0.777
O13 0.262 0.228 0.520
O14 0.220 0.519 0.276
O15 0.780 0.519 0.724
O16 0.220 0.481 0.724
O17 0.272 0.981 0.223
O18 0.221 0.277 0.982
O19 0.020 0.221 0.725
O20 0.780 0.481 0.276
O21 0.779 0.723 0.982
O22 0.738 0.772 0.520
O23 0.980 0.779 0.725
O24 0.980 0.221 0.275
Ba1 0.500 0.500 0.000
Ba2 0.500 0.000 0.500
Ba3 0.000 0.000 0.000
Ba4 0.500 0.500 0.500
Se1 0.244 0.248 0.747
Se2 0.244 0.752 0.253
Se3 0.756 0.248 0.253
Se4 0.756 0.752 0.747
Sr1 0.500 0.000 0.000
Sr2 0.000 0.000 0.500
Sr3 0.000 0.500 0.000
Sr4 0.000 0.500 0.500
Sm1 0.248 0.750 0.751
Sm2 0.248 0.250 0.249
Sm3 0.752 0.250 0.751
Sm4 0.752 0.750 0.249
```

Crystal system: orthorhombic
Energy with MP2020 corrections, eV per formula unit: -67.8
Energy, eV/atom: -6.369


Entry 3:
NaNb3O8 after structural relaxation. Source: the Materials Project database, functional PBE-GGA.

Cell and atoms, written as CIF:
```
data_NaNb3O8
_chemical_formula_sum 'Na2 Nb6 O16'
_cell_length_a 3.828
_cell_length_b 8.937
_cell_length_c 10.329
_cell_angle_alpha 90.00
_cell_angle_beta 90.00
_cell_angle_gamma 90.00
_space_group_name_H-M_alt 'P 1'
_space_group_IT_number 1
_space_group_name_Hall 'P 1'
loop_
_atom_site_label
_atom_site_fract_x
_atom_site_fract_y
_atom_site_fract_z
O1 0.500 0.671 0.120
O2 0.000 0.160 0.299
O3 0.500 0.000 0.150
O4 0.000 0.500 0.576
O5 0.500 0.657 0.403
O6 0.000 0.171 0.880
O7 0.000 0.843 0.597
O8 0.000 0.500 0.850
O9 0.500 0.343 0.403
O10 0.500 0.660 0.701
O11 0.500 0.000 0.424
O12 0.000 0.829 0.880
O13 0.500 0.340 0.701
O14 0.000 0.157 0.597
O15 0.000 0.840 0.299
O16 0.500 0.329 0.120
Nb1 0.000 0.307 0.754
Nb2 0.500 0.807 0.246
Nb3 0.000 0.000 0.484
Nb4 0.500 0.193 0.246
Nb5 0.500 0.500 0.516
Nb6 0.000 0.693 0.754
Na1 0.000 0.500 0.074
Na2 0.500 0.000 0.926
```

Crystal system: orthorhombic
Energy with MP2020 corrections, eV per formula unit: -106.7
Energy, eV/atom: -8.436


Entry 4:
NaPb after structural relaxation. Source: the Materials Project database, functional PBE-GGA.

Cell and atoms, written as CIF:
```
data_NaPb
_chemical_formula_sum 'Na16 Pb16'
_cell_length_a 11.768
_cell_length_b 11.768
_cell_length_c 11.768
_cell_angle_alpha 126.06
_cell_angle_beta 126.06
_cell_angle_gamma 79.78
_space_group_name_H-M_alt 'P 1'
_space_group_IT_number 1
_space_group_name_Hall 'P 1'
loop_
_atom_site_label
_atom_site_fract_x
_atom_site_fract_y
_atom_site_fract_z
Na1 0.244 0.375 0.369
Na2 0.506 0.875 0.131
Na3 0.125 0.625 0.750
Na4 0.744 0.375 0.869
Na5 0.625 0.625 0.750
Na6 0.006 0.875 0.631
Na7 0.625 0.994 0.869
Na8 0.375 0.125 0.000
Na9 0.875 0.875 0.250
Na10 0.125 0.375 0.000
Na11 0.625 0.494 0.369
Na12 0.625 0.875 0.500
Na13 0.125 0.756 0.131
Na14 0.375 0.125 0.500
Na15 0.875 0.375 0.250
Na16 0.125 0.256 0.631
Pb1 0.932 0.134 0.938
Pb2 0.244 0.946 0.562
Pb3 0.006 0.068 0.202
Pb4 0.506 0.304 0.938
Pb5 0.744 0.182 0.298
Pb6 0.196 0.994 0.062
Pb7 0.884 0.446 0.702
Pb8 0.054 0.616 0.298
Pb9 0.696 0.634 0.202
Pb10 0.366 0.568 0.062
Pb11 0.818 0.116 0.562
Pb12 0.384 0.682 0.438
Pb13 0.866 0.804 0.798
Pb14 0.432 0.494 0.798
Pb15 0.318 0.756 0.702
Pb16 0.554 0.256 0.438
```

Crystal system: tetragonal
Energy, eV/atom: -2.695


Entry 5:
CsP2Ir2 after structural relaxation. Source: the Materials Project database, functional PBE-GGA.

Cell and atoms, written as CIF:
```
data_CsP2Ir2
_chemical_formula_sum 'Cs1 P2 Ir2'
_cell_length_a 7.798
_cell_length_b 7.798
_cell_length_c 7.798
_cell_angle_alpha 150.46
_cell_angle_beta 150.46
_cell_angle_gamma 42.26
_space_group_name_H-M_alt 'P 1'
_space_group_IT_number 1
_space_group_name_Hall 'P 1'
loop_
_atom_site_label
_atom_site_fract_x
_atom_site_fract_y
_atom_site_fract_z
Ir1 0.750 0.250 0.500
Ir2 0.250 0.750 0.500
Cs1 0.000 0.000 0.000
P1 0.338 0.338 0.000
P2 0.662 0.662 0.000
```

Crystal system: tetragonal
Energy, eV/atom: -6.530


Entry 6:
Ce2MgSe4 after structural relaxation. Source: the Materials Project database, functional PBE-GGA.

Cell and atoms, written as CIF:
```
data_Ce2MgSe4
_chemical_formula_sum 'Ce16 Mg8 Se32'
_cell_length_a 13.640
_cell_length_b 8.209
_cell_length_c 13.704
_cell_angle_alpha 90.00
_cell_angle_beta 90.00
_cell_angle_gamma 90.00
_space_group_name_H-M_alt 'P 1'
_space_group_IT_number 1
_space_group_name_Hall 'P 1'
loop_
_atom_site_label
_atom_site_fract_x
_atom_site_fract_y
_atom_site_fract_z
Ce1 0.126 0.384 0.326
Ce2 0.608 0.115 0.686
Ce3 0.634 0.870 0.993
Ce4 0.867 0.370 0.493
Ce5 0.626 0.616 0.326
Ce6 0.374 0.384 0.826
Ce7 0.133 0.630 0.993
Ce8 0.633 0.370 0.993
Ce9 0.866 0.870 0.493
Ce10 0.392 0.885 0.186
Ce11 0.134 0.130 0.993
Ce12 0.367 0.630 0.493
Ce13 0.366 0.130 0.493
Ce14 0.874 0.616 0.826
Ce15 0.892 0.115 0.186
Ce16 0.108 0.885 0.686
Se1 0.511 0.119 0.880
Se2 0.290 0.382 0.023
Se3 0.972 0.619 0.629
Se4 0.233 0.637 0.776
Se5 0.024 0.373 0.868
Se6 0.524 0.627 0.868
Se7 0.767 0.363 0.276
Se8 0.976 0.627 0.368
Se9 0.955 0.126 0.640
Se10 0.732 0.866 0.773
Se11 0.045 0.874 0.140
Se12 0.989 0.119 0.380
Se13 0.028 0.381 0.129
Se14 0.232 0.134 0.773
Se15 0.455 0.874 0.640
Se16 0.291 0.881 0.998
Se17 0.267 0.637 0.276
Se18 0.791 0.119 0.998
Se19 0.472 0.381 0.629
Se20 0.545 0.126 0.140
Se21 0.733 0.363 0.776
Se22 0.268 0.134 0.273
Se23 0.790 0.618 0.023
Se24 0.210 0.382 0.523
Se25 0.710 0.618 0.523
Se26 0.489 0.881 0.380
Se27 0.528 0.619 0.129
Se28 0.011 0.881 0.880
Se29 0.768 0.866 0.273
Se30 0.209 0.881 0.498
Se31 0.709 0.119 0.498
Se32 0.476 0.373 0.368
Mg1 0.125 0.880 0.320
Mg2 0.889 0.615 0.192
Mg3 0.111 0.385 0.692
Mg4 0.875 0.120 0.820
Mg5 0.625 0.120 0.320
Mg6 0.389 0.385 0.192
Mg7 0.611 0.615 0.692
Mg8 0.375 0.880 0.820
```

Crystal system: orthorhombic
Energy with MP2020 corrections, eV per formula unit: -40.5
Energy, eV/atom: -5.520


no.,ΔH_f (0 K) (kJ/mol of formula units)
1,-1268
2,-2538
3,-3427
4,-34
5,-314
6,-1262